(1)
The following is a DFT calculation (GGA-PBE) of crystalline Cs2AlP3O10 at its relaxed geometry.

Unit cell a=9.1498 b=9.5376 c=12.4583 alpha=85.17 beta=90.00 gamma=90.00
Fractional positions:
Cs1 0.8768 0.9968 0.1466
Cs2 0.3768 0.5032 0.8534
Cs3 0.1232 0.0032 0.8534
Cs4 0.6232 0.4968 0.1466
Cs5 0.8925 0.2381 0.4584
Cs6 0.3925 0.2619 0.5416
Cs7 0.1075 0.7619 0.5416
Cs8 0.6075 0.7381 0.4584
Al1 0.8510 0.6451 0.8529
Al2 0.3510 0.8549 0.1471
Al3 0.1490 0.3549 0.1471
Al4 0.6490 0.1451 0.8529
P1 0.9160 0.3223 0.9519
P2 0.4160 0.1777 0.0481
P3 0.0840 0.6777 0.0481
P4 0.5840 0.8223 0.9519
P5 0.9710 0.5770 0.2595
P6 0.4710 0.9230 0.7405
P7 0.0290 0.4230 0.7405
P8 0.5290 0.0770 0.2595
P9 0.7888 0.9332 0.6956
P10 0.2888 0.5668 0.3044
P11 0.2112 0.0668 0.3044
P12 0.7112 0.4332 0.6956
O1 0.8643 0.8161 0.7673
O2 0.3643 0.6839 0.2327
O3 0.1357 0.1839 0.2327
O4 0.6357 0.3161 0.7673
O5 0.6916 0.7031 0.9370
O6 0.1916 0.7969 0.0630
O7 0.3084 0.2969 0.0630
O8 0.8084 0.2031 0.9370
O9 0.7209 0.5688 0.7535
O10 0.2209 0.9312 0.2465
O11 0.2791 0.4312 0.2465
O12 0.7791 0.0688 0.7535
O13 0.9925 0.7174 0.9480
O14 0.4925 0.7826 0.0520
O15 0.0075 0.2826 0.0520
O16 0.5075 0.2174 0.9480
O17 0.8472 0.4681 0.9445
O18 0.3472 0.0319 0.0555
O19 0.1528 0.5319 0.0555
O20 0.6528 0.9681 0.9445
O21 0.0142 0.5734 0.7718
O22 0.5142 0.9266 0.2282
O23 0.9858 0.4266 0.2282
O24 0.4858 0.0734 0.7718
O25 0.0338 0.3203 0.8515
O26 0.5338 0.1797 0.1485
O27 0.9662 0.6797 0.1485
O28 0.4662 0.8203 0.8515
O29 0.8407 0.6104 0.3243
O30 0.3407 0.8896 0.6757
O31 0.1593 0.3896 0.6757
O32 0.6593 0.1104 0.3243
O33 0.1165 0.6211 0.3190
O34 0.6165 0.8789 0.6810
O35 0.8835 0.3789 0.6810
O36 0.3835 0.1211 0.3190
O37 0.8481 0.9512 0.5829
O38 0.3481 0.5488 0.4171
O39 0.1519 0.0488 0.4171
O40 0.6519 0.4512 0.5829

Properties
* ΔE_f: -2856 meV/atom
* space-group type: P2_1/c
* MP2020-corrected energy: -7.31 eV/atom

=====

(2)
The following is a DFT calculation (GGA-PBE) of crystalline CsAl3Si3O12 at its relaxed geometry.

Unit cell a=5.3486 b=5.3486 c=22.1685 alpha=82.13 beta=82.13 gamma=60.02
Fractional positions:
Cs1 0.0936 0.8946 0.2625
Cs2 0.8946 0.0936 0.7625
Al1 0.3675 0.8211 0.4977
Al2 0.1954 0.6276 0.9977
Al3 0.6276 0.1954 0.4977
Al4 0.8211 0.3675 0.9977
Al5 0.7113 0.5289 0.3741
Al6 0.5289 0.7113 0.8741
Si1 0.4022 0.1835 0.3714
Si2 0.8181 0.6043 0.1239
Si3 0.6043 0.8181 0.6239
Si4 0.1835 0.4022 0.8714
Si5 0.4718 0.2924 0.1246
Si6 0.2924 0.4718 0.6246
O1 0.6065 0.3201 0.3414
O2 0.6459 0.4250 0.1544
O3 0.4250 0.6459 0.6544
O4 0.3201 0.6065 0.8414
O5 0.0758 0.4060 0.3537
O6 0.6214 0.9404 0.1440
O7 0.9404 0.6214 0.6440
O8 0.4060 0.0758 0.8537
O9 0.5194 0.8816 0.3405
O10 0.1320 0.4507 0.1555
O11 0.4507 0.1320 0.6555
O12 0.8816 0.5194 0.8405
O13 0.4287 0.1121 0.4474
O14 0.8869 0.5710 0.0509
O15 0.5710 0.8869 0.5509
O16 0.1121 0.4287 0.9474
O17 0.0068 0.9275 0.4723
O18 0.0610 0.9864 0.0332
O19 0.9864 0.0610 0.5332
O20 0.9275 0.0068 0.9723
O21 0.6098 0.5203 0.4528
O22 0.4768 0.3758 0.0519
O23 0.3758 0.4768 0.5519
O24 0.5203 0.6098 0.9528

Properties
* ΔE_f: -2955 meV/atom
* space-group type: Cc
* MP2020-corrected energy: -7.58 eV/atom

=====

(3)
The following is a DFT calculation (GGA-PBE) of crystalline Cs2Al2Si3O10 at its relaxed geometry.

Unit cell a=13.3882 b=10.2301 c=9.8487 alpha=83.61 beta=49.41 gamma=46.98
Fractional positions:
Cs1 0.1329 0.9714 0.2785
Cs2 0.6172 0.2785 0.9714
Cs3 0.9715 0.6328 0.1171
Cs4 0.2786 0.1171 0.6328
Al1 0.7334 0.5888 0.6802
Al2 0.9975 0.6802 0.5888
Al3 0.5698 0.2525 0.5166
Al4 0.6612 0.5166 0.2525
Si1 0.2513 0.2487 0.2487
Si2 0.0013 0.9987 0.9987
Si3 0.5117 0.5703 0.6783
Si4 0.2398 0.6783 0.5703
Si5 0.5717 0.0102 0.7383
Si6 0.6797 0.7383 0.0102
O1 0.0221 0.3517 0.4154
O2 0.2109 0.4154 0.3517
O3 0.8346 0.0391 0.2279
O4 0.8983 0.2279 0.0391
O5 0.6069 0.5436 0.7435
O6 0.1060 0.7435 0.5436
O7 0.5065 0.1440 0.6431
O8 0.7064 0.6431 0.1440
O9 0.6046 0.8297 0.6889
O10 0.8768 0.6889 0.8297
O11 0.5611 0.3732 0.6454
O12 0.4203 0.6454 0.3732
O13 0.6230 0.5628 0.4568
O14 0.3574 0.4568 0.5628
O15 0.7932 0.8926 0.6270
O16 0.6872 0.6270 0.8926
O17 0.2383 0.8203 0.8933
O18 0.0481 0.8933 0.8203
O19 0.3567 0.2019 0.0117
O20 0.4297 0.0117 0.2019

Properties
* ΔE_f: -3209 meV/atom
* space-group type: Fdd2
* MP2020-corrected energy: -7.62 eV/atom

=====

(4)
The following is a DFT calculation (GGA-PBE) of crystalline Cs2AlTe3O12 at its relaxed geometry.

Unit cell a=7.1266 b=7.1266 c=7.1266 alpha=61.73 beta=61.73 gamma=61.73
Fractional positions:
Cs1 0.1284 0.1284 0.1284
Cs2 0.8716 0.8716 0.8716
Al1 0.5000 0.5000 0.5000
Te1 0.0000 0.5000 0.5000
Te2 0.5000 0.5000 0.0000
Te3 0.5000 0.0000 0.5000
O1 0.4335 0.8141 0.4335
O2 0.8260 0.4320 0.8260
O3 0.4320 0.8260 0.8260
O4 0.8141 0.4335 0.4335
O5 0.8260 0.8260 0.4320
O6 0.4335 0.4335 0.8141
O7 0.5665 0.1859 0.5665
O8 0.1740 0.5680 0.1740
O9 0.5680 0.1740 0.1740
O10 0.1859 0.5665 0.5665
O11 0.1740 0.1740 0.5680
O12 0.5665 0.5665 0.1859

Properties
* ΔE_f: -1837 meV/atom
* space-group type: R-3m
* MP2020-corrected energy: -5.97 eV/atom

=====

Q: ΔE_f of number 3 (Cs2Al2Si3O10)?
A: -3209 meV/atom

=====

Q: The lowest ΔE_f belongs to which entry?
A: Cs2Al2Si3O10